(1)
Ta2CrNO5 | GGA+U | optimized geometry

Geometry as POSCAR:
```
Ta2CrNO5
1.0
-1.341 -2.745 -3.650
5.028 -6.988 3.409
-7.576 -2.930 4.986
O Ta Cr N
20 8 4 4
direct
0.698 0.328 0.850
0.805 0.493 0.100
0.806 0.836 0.599
0.306 0.664 0.651
0.806 0.836 0.099
0.698 0.328 0.350
0.301 0.327 0.151
0.695 0.004 0.345
0.195 0.496 0.905
0.198 0.172 0.400
0.305 0.007 0.650
0.198 0.172 0.900
0.801 0.173 0.599
0.305 0.007 0.150
0.805 0.493 0.600
0.306 0.664 0.151
0.801 0.173 0.099
0.195 0.496 0.405
0.301 0.327 0.651
0.695 0.004 0.845
0.995 0.339 0.502
0.499 0.817 0.759
0.499 0.817 0.259
0.495 0.161 0.248
0.995 0.339 0.002
0.495 0.161 0.748
0.999 0.683 0.991
0.999 0.683 0.491
0.000 0.003 0.999
0.500 0.497 0.751
0.500 0.497 0.251
0.000 0.003 0.499
0.701 0.663 0.348
0.701 0.663 0.848
0.201 0.837 0.902
0.201 0.837 0.402
```

The value obtained for the piezoelectric modulus e_max is 1.4 C/m2. The theoretical density comes out at 8.03 g cm⁻³. The offset from the most stable computed form is 5 kJ/mol of formula units. The calculation puts the formation energy at -254.6 kJ/mol of atoms.

(2)
LiMn2PO6 | GGA+U | optimized geometry

Geometry as POSCAR:
```
LiMn2PO6
1.0
-3.063 -0.785 4.106
-4.737 -4.357 -4.367
6.263 -9.643 2.829
O P Mn Li
24 4 8 4
direct
0.496 0.486 0.124
0.250 0.288 0.250
0.001 0.820 0.015
0.504 0.514 0.876
0.250 0.212 0.750
0.004 0.014 0.624
0.501 0.180 0.985
0.001 0.680 0.515
0.996 0.514 0.876
0.501 0.320 0.485
0.499 0.680 0.515
0.750 0.115 0.210
0.750 0.712 0.750
0.750 0.788 0.250
0.250 0.885 0.790
0.250 0.615 0.290
0.996 0.986 0.376
0.504 0.986 0.376
0.004 0.486 0.124
0.999 0.320 0.485
0.750 0.385 0.710
0.999 0.180 0.985
0.496 0.014 0.624
0.499 0.820 0.015
0.250 0.470 0.205
0.750 0.970 0.295
0.250 0.030 0.705
0.750 0.530 0.795
0.250 0.790 0.425
0.750 0.210 0.575
0.750 0.812 0.590
0.250 0.312 0.910
0.250 0.710 0.925
0.750 0.688 0.090
0.750 0.290 0.075
0.250 0.188 0.410
0.750 0.516 0.440
0.750 0.984 0.940
0.250 0.016 0.060
0.250 0.484 0.560
```

The theoretical density comes out at 3.39 g cm⁻³. The calculation puts the formation energy at -220.5 kJ/mol of atoms.

(3)
Mn3O2F4 | GGA+U | optimized geometry

Geometry as POSCAR:
```
Mn3O2F4
1.0
-3.976 -2.568 0.992
1.105 -2.388 -4.057
5.189 -6.120 5.004
F O Mn
8 4 6
direct
0.289 0.289 0.675
0.711 0.711 0.325
0.195 0.805 0.500
0.805 0.195 0.500
0.187 0.804 0.833
0.196 0.813 0.167
0.804 0.187 0.833
0.813 0.196 0.167
0.678 0.678 0.671
0.303 0.303 0.998
0.322 0.322 0.329
0.697 0.697 0.002
0.503 0.503 0.842
0.000 0.000 0.000
0.500 0.500 0.500
0.973 0.973 0.669
0.497 0.497 0.158
0.027 0.027 0.331
```

The theoretical density comes out at 4.12 g cm⁻³. The offset from the most stable computed form is 13 kJ/mol of formula units. The calculation puts the formation energy at -243.7 kJ/mol of atoms.

(4)
BaV13O18 | GGA+U | optimized geometry

Geometry as POSCAR:
```
BaV13O18
1.0
-5.137 0.292 5.180
-3.743 -0.232 -6.955
4.278 -6.661 1.020
O Ba V
18 1 13
direct
0.952 0.336 0.552
0.717 0.555 0.615
0.158 0.072 0.441
0.785 0.273 0.105
0.283 0.445 0.385
0.611 0.219 0.677
0.606 0.541 0.223
0.048 0.664 0.448
0.313 0.111 0.835
0.104 0.367 0.941
0.480 0.170 0.270
0.389 0.781 0.323
0.842 0.928 0.559
0.687 0.889 0.165
0.520 0.830 0.730
0.394 0.459 0.777
0.896 0.633 0.059
0.215 0.727 0.895
0.000 0.000 0.000
0.081 0.514 0.194
0.500 0.000 0.000
0.121 0.203 0.692
0.757 0.406 0.362
0.664 0.060 0.422
0.919 0.486 0.806
0.573 0.692 0.487
0.400 0.627 0.052
0.879 0.797 0.308
0.600 0.373 0.948
0.336 0.940 0.578
0.427 0.308 0.513
0.243 0.594 0.638
```

The theoretical density comes out at 4.94 g cm⁻³. The offset from the most stable computed form is 41 kJ/mol of formula units. The calculation puts the formation energy at -230.7 kJ/mol of atoms.

(5)
Na4MgNi5O10 | GGA+U | optimized geometry

Geometry as POSCAR:
```
Na4MgNi5O10
1.0
-1.392 3.154 -5.189
6.770 -2.146 1.007
-4.244 -4.987 -2.395
O Na Ni Mg
10 4 5 1
direct
0.025 0.414 0.668
0.898 0.998 0.329
0.672 0.180 0.855
0.104 0.015 0.684
0.690 0.603 0.931
0.357 0.382 0.102
0.471 0.215 0.528
0.275 0.823 0.134
0.531 0.756 0.481
0.914 0.594 0.294
0.355 0.812 0.799
0.261 0.340 0.418
0.659 0.171 0.207
0.805 0.640 0.631
0.417 0.286 0.815
0.659 0.677 0.217
0.166 0.936 0.404
0.791 0.093 0.597
0.943 0.518 0.952
0.232 0.598 0.250
```

The theoretical density comes out at 3.85 g cm⁻³. The offset from the most stable computed form is 370 kJ/mol of formula units. The calculation puts the formation energy at -119.3 kJ/mol of atoms.

(6)
LiNi6P7O24 | GGA+U | optimized geometry

Geometry as POSCAR:
```
LiNi6P7O24
1.0
-20.919 -13.221 9.157
-1.188 -1.506 -4.888
3.027 -5.538 -1.081
O Ni P Li
48 12 14 2
direct
0.877 0.858 0.768
0.027 0.415 0.828
0.203 0.507 0.936
0.623 0.858 0.768
0.123 0.142 0.232
0.977 0.139 0.625
0.452 0.878 0.988
0.023 0.861 0.375
0.336 0.942 0.950
0.952 0.122 0.012
0.527 0.585 0.172
0.618 0.394 0.215
0.651 0.485 0.614
0.836 0.058 0.050
0.905 0.863 0.386
0.151 0.515 0.386
0.750 0.832 0.777
0.548 0.122 0.012
0.297 0.507 0.936
0.806 0.107 0.410
0.377 0.142 0.232
0.797 0.493 0.064
0.118 0.606 0.785
0.164 0.942 0.950
0.442 0.451 0.288
0.664 0.058 0.050
0.703 0.493 0.064
0.973 0.585 0.172
0.194 0.893 0.590
0.095 0.137 0.614
0.250 0.657 0.232
0.694 0.107 0.410
0.558 0.549 0.712
0.477 0.861 0.375
0.882 0.394 0.215
0.058 0.451 0.288
0.306 0.893 0.590
0.048 0.878 0.988
0.750 0.343 0.768
0.942 0.549 0.712
0.349 0.515 0.386
0.250 0.168 0.223
0.523 0.139 0.625
0.849 0.485 0.614
0.595 0.863 0.386
0.382 0.606 0.785
0.473 0.415 0.828
0.405 0.137 0.614
0.548 0.189 0.311
0.903 0.796 0.088
0.183 0.875 0.275
0.403 0.204 0.912
0.452 0.811 0.689
0.597 0.796 0.088
0.317 0.875 0.275
0.817 0.125 0.725
0.683 0.125 0.725
0.952 0.189 0.311
0.048 0.811 0.689
0.097 0.204 0.912
0.476 0.711 0.205
0.750 0.536 0.905
0.390 0.315 0.383
0.250 0.464 0.095
0.890 0.685 0.617
0.610 0.685 0.617
0.976 0.289 0.795
0.167 0.757 0.805
0.833 0.243 0.195
0.333 0.757 0.805
0.110 0.315 0.383
0.667 0.243 0.195
0.524 0.289 0.795
0.024 0.711 0.205
0.750 0.865 0.463
0.250 0.135 0.537
```

The theoretical density comes out at 3.77 g cm⁻³. The calculation puts the formation energy at -219.9 kJ/mol of atoms.